Crystalline K5C3N6 at its relaxed geometry, computed with PBE-GGA.

* volume: 18.83 A^3/atom
* calculated density: 1.99 g/cm3
* energy relative to the elements: -524 meV per atom
* space-group type: Im-3m, No. 229

The structure in POSCAR format:
```
K5C3N6
1.0
0.4284 2.8223 6.3875
-1.8177 4.9358 -4.6134
-4.8196 -5.0716 0.0097
K C N
5 3 6
Cartesian
0.0000 0.0000 0.0000
-2.4098 -2.5358 0.0048
-0.9088 2.4679 -2.3067
0.2142 1.4111 3.1937
-3.1044 1.3433 0.8919
-2.1956 -1.1246 3.1986
-3.3186 -0.0679 -2.3018
-0.6946 3.8790 0.8871
-1.5210 -0.7791 2.2158
-2.2989 -0.0470 -1.5946
-0.9081 5.0709 1.1596
-2.8702 -1.4702 4.1814
-0.4812 2.6872 0.6145
-4.3383 -0.0888 -3.0091
```


Crystalline KC2N3 at its relaxed geometry, computed with PBE-GGA.

* volume: 16.11 A^3/atom
* calculated density: 1.81 g/cm3
* energy relative to the elements: -387 meV per atom
* energy above the most stable polymorph in this dataset: 0.0 meV/atom
* space-group type: P2_1/c, No. 14

The structure in POSCAR format:
```
KC2N3
1.0
12.1367 0.0000 0.0000
0.0000 3.8742 0.0000
0.0000 2.9647 24.6677
K C N
12 24 36
Cartesian
7.8964 3.6864 12.0250
12.1014 5.6817 18.7172
5.0106 5.1263 22.1825
7.1261 1.7126 2.4852
6.1037 4.1994 6.3833
1.0578 3.6440 9.8487
10.3086 5.1687 24.3589
1.8281 1.6701 0.3088
4.2403 3.1525 12.6427
6.0330 2.6395 18.2844
11.0789 3.1949 14.8191
0.0353 1.1571 5.9505
5.9712 1.5313 9.9484
3.0087 1.9870 7.2107
3.9268 3.3230 2.9441
6.1655 5.3076 14.7193
1.7470 3.2369 3.6541
7.6382 2.9759 23.8874
4.4985 3.8630 0.7804
2.6172 4.1760 17.4197
12.0396 3.8253 2.3854
9.5195 2.6629 7.2480
3.4512 2.6937 5.0858
2.1415 4.8053 15.2780
10.5669 1.4935 11.5535
8.2099 3.5159 21.7236
9.1280 4.8519 17.4570
10.3897 3.6019 21.0136
9.0771 3.3696 5.1231
7.8154 2.1196 8.6797
9.9952 2.0335 9.3897
0.0971 3.0136 22.2823
3.0596 3.4693 19.5446
8.6855 4.1452 19.5819
1.5698 5.3453 13.1142
4.3213 4.7193 15.9880
5.6648 4.8958 15.8379
1.8133 1.7505 11.9831
7.8817 3.6061 0.3508
6.4719 1.9430 8.8299
10.4713 2.4033 8.1783
4.2550 3.2328 24.3169
10.3234 5.0884 12.6847
2.1196 2.8407 4.8916
9.8801 5.1480 16.5883
2.2566 1.6909 8.0794
3.8118 3.1733 20.4133
3.9035 2.2661 6.3053
3.9488 4.3231 17.2255
8.3250 3.6656 4.2544
9.5275 3.3793 22.0402
7.2602 3.2765 22.6837
1.1918 5.0447 14.3179
10.9449 1.7942 10.3499
4.8765 3.5624 1.9840
10.0172 3.9981 19.7761
8.1879 2.5158 7.4422
8.2332 4.5727 18.3624
4.4029 2.9532 4.1555
3.4591 4.9419 14.9613
5.4073 5.0244 10.9229
9.9719 3.0904 6.0285
8.6776 1.8970 9.7064
7.7338 3.8857 20.5122
0.4035 3.4135 3.5040
0.6611 6.5067 23.2568
2.1648 3.7485 18.6392
6.7294 1.8145 13.7448
2.6092 3.4595 2.6275
11.7332 3.4254 21.1637
11.4756 0.3322 1.4109
1.6654 4.4355 16.4894
```


Crystalline K2CN2 at its relaxed geometry, computed with PBE-GGA.

* volume: 18.72 A^3/atom
* calculated density: 2.10 g/cm3
* energy relative to the elements: -617 meV per atom
* space-group type: C2/m, No. 12

The structure in POSCAR format:
```
K2CN2
1.0
-3.9969 -0.8284 0.3551
0.6368 -1.6619 3.6905
-1.9629 4.1283 3.7585
K C N
2 1 2
Cartesian
-3.6589 1.2416 5.3932
-1.6641 0.3964 2.4109
0.0000 0.0000 0.0000
-3.2533 -1.2586 4.2050
-2.0697 2.8965 3.5990
```


Crystalline K2C7N4O at its relaxed geometry, computed with PBE-GGA.

* volume: 17.69 A^3/atom
* calculated density: 1.57 g/cm3
* energy relative to the elements: -200 meV per atom
* space-group type: P-1, No. 2

The structure in POSCAR format:
```
K2C7N4O
1.0
-1.3824 1.0014 -3.8325
-7.5319 0.0017 2.9430
4.2013 13.7462 4.0153
K C N O
4 14 8 2
Cartesian
1.2825 8.9096 1.6940
-5.9956 5.8398 1.4318
-6.5038 1.8597 2.4140
1.7907 12.8896 0.7118
-4.1544 3.1724 -0.3502
-0.5587 11.5770 3.4760
-2.8317 3.0473 -0.7904
-1.8813 11.7021 3.9162
-0.2259 5.3739 1.7308
-4.4871 9.3755 1.3950
-2.2167 9.3077 4.6804
-2.4963 5.4417 -1.5546
-1.9840 4.1016 -1.3276
-2.7291 10.6477 4.4533
-2.4336 4.8613 2.4788
-2.2795 9.8880 0.6470
-2.2645 1.7688 -0.6833
-2.4486 12.9806 3.8090
0.5504 11.5461 3.0779
-5.2635 3.2032 0.0479
0.5504 6.1230 1.2584
-5.2635 8.6263 1.8674
-1.7698 0.7027 -0.5966
-2.9432 14.0466 3.7223
-3.5317 5.2534 2.6253
-1.1813 9.4959 0.5005
-0.7699 3.8372 -1.6220
-3.9432 10.9121 4.7478
```


Crystalline K2C7N4O at its relaxed geometry, computed with PBE-GGA.

* volume: 17.85 A^3/atom
* calculated density: 1.56 g/cm3
* energy relative to the elements: -199 meV per atom
* space-group type: P2_1/c, No. 14

The structure in POSCAR format:
```
K2C7N4O
1.0
-0.1126 0.0000 7.8188
7.8727 0.0000 -3.0572
0.0000 16.3325 0.0000
K C N O
8 28 16 4
Cartesian
0.8313 11.1432 2.4165
6.9288 5.1893 2.3450
6.9851 2.9769 -1.5644
0.7750 13.3556 6.3259
0.7146 15.2258 2.1425
7.0454 1.1067 2.6191
7.1018 7.0595 -1.2903
0.6583 9.2730 6.0519
2.0650 3.2696 -0.5687
5.6951 13.0629 5.3303
5.7514 11.4359 1.4209
2.0087 4.8966 3.3407
1.8682 5.6881 -0.5303
5.8919 10.6444 5.2919
5.9482 13.8543 1.3825
1.8119 2.4782 3.3791
4.0634 4.8091 -0.2104
3.6967 11.5234 4.9720
3.7530 12.9754 1.0626
4.0070 3.3571 3.6990
2.8082 2.0443 -0.3555
4.9519 14.2882 5.1170
5.0082 10.2105 1.2076
2.7518 6.1220 3.5539
2.7010 4.5695 -0.4165
5.0591 11.7630 5.1781
5.1154 12.7357 1.2687
2.6447 3.5968 3.4929
2.1298 0.8321 -0.5481
5.6302 15.5004 5.3096
5.6866 8.9983 1.4002
2.0735 7.3342 3.3613
4.1121 1.9492 0.1464
3.6480 14.3833 4.6152
3.7043 10.1155 0.7058
4.0558 6.2170 4.0558
2.6163 9.9990 0.2715
5.1438 6.3335 4.4900
5.2001 1.8327 0.5807
2.5600 14.4998 4.1809
5.2083 5.0401 -0.0562
2.5518 11.2924 4.8178
2.6081 13.2063 0.9084
5.1520 3.1262 3.8531
1.4966 8.3512 3.2251
6.2635 7.9813 1.5364
6.3198 0.1850 -2.3730
1.4402 16.1475 7.1345
1.0853 1.5563 3.2793
6.6748 14.7762 1.4823
6.7312 9.7226 -2.4271
1.0289 6.6099 7.1886
0.7690 4.9529 3.0303
6.9911 11.3796 1.7313
7.0474 13.1191 -2.1781
0.7127 3.2134 6.9397
```


Crystalline K3ReC4N4O2 at its relaxed geometry, computed with PBE-GGA.

* volume: 26.05 A^3/atom
* calculated density: 2.00 g/cm3
* energy relative to the elements: -562 meV per atom
* energy above the most stable polymorph in this dataset: 86.1 meV/atom
* space-group type: P-1, No. 2

The structure in POSCAR format:
```
K3ReC4N4O2
1.0
3.7322 5.8906 -1.1742
-6.7653 0.7464 -7.2364
-3.4720 -1.3862 6.2903
K Re C N O
3 1 4 4 2
Cartesian
-3.2525 2.6254 -1.0601
-4.7174 4.0885 -5.7512
-1.7877 1.1622 3.6309
0.0000 0.0000 0.0000
-8.5575 -0.3379 0.3297
2.0524 5.5887 -2.4500
-6.1444 3.1733 -2.0430
-0.3607 2.0775 -0.0773
-7.6290 -0.1446 1.0257
1.1239 5.3953 -3.1460
-5.9782 2.0145 -1.8988
-0.5269 3.2363 -0.2215
-1.0684 -0.1810 1.4486
-5.4367 5.4318 -3.5689
```


Crystalline K3ReC4N4O2 at its relaxed geometry, computed with PBE-GGA.

* volume: 26.16 A^3/atom
* calculated density: 1.99 g/cm3
* energy relative to the elements: -419 meV per atom
* energy above the most stable polymorph in this dataset: 229.5 meV/atom
* space-group type: P-1, No. 2

The structure in POSCAR format:
```
K3ReC4N4O2
1.0
1.8972 -1.7194 -6.7240
6.4495 -3.6709 5.1220
-6.0203 -2.8852 2.7885
K Re C N O
3 1 4 4 2
Cartesian
-3.0482 -2.9803 0.0432
5.3746 -5.2953 1.1433
1.1632 -4.1378 0.5932
0.0000 0.0000 0.0000
1.9002 -6.5868 2.3940
0.7552 -6.8838 -0.1213
1.5713 -1.3918 1.3078
0.4263 -1.6887 -1.2075
-2.8119 -4.9713 -2.0592
1.7047 -5.6376 3.0676
5.1383 -3.3042 3.2456
0.6218 -2.6379 -1.8811
3.7070 -7.3897 0.4437
-1.3806 -0.8858 0.7428
```


Crystalline K3ReC4N4O2 at its relaxed geometry, computed with PBE-GGA.

* volume: 20.11 A^3/atom
* calculated density: 2.59 g/cm3
* energy relative to the elements: -649 meV per atom
* energy above the most stable polymorph in this dataset: 0.0 meV/atom
* space-group type: P-1, No. 2

The structure in POSCAR format:
```
K3ReC4N4O2
1.0
-3.0549 3.1517 4.7544
-3.3903 -6.1366 -0.6296
7.1253 -1.6282 1.9862
K Re C N O
3 1 4 4 2
Cartesian
1.8675 -3.8824 0.6783
3.7432 -0.8741 3.6628
-3.0631 -3.7390 2.4482
0.0000 0.0000 0.0000
1.4539 -3.5781 4.4193
-0.7738 -1.0350 1.6918
-1.6053 -5.6181 0.4015
2.2854 1.0050 5.7095
1.9846 -3.0790 3.4949
-1.3045 -1.5341 2.6161
-0.6169 -5.3065 0.9595
1.2971 0.6934 5.1515
2.9387 -6.2581 1.9678
-2.2586 1.6450 4.1432
```